(1)
VASP calculation (PBE+U) on a relaxed structure of Li3MnFe2B3O9.

Unit cell a=8.262 b=6.288 c=8.267 alpha=90.00 beta=119.97 gamma=90.00
Positions (direct):
Li 0.000 0.249 0.000
Li 0.000 0.751 0.000
Li 0.318 0.251 0.731
Li 0.318 0.749 0.731
Li 0.732 0.250 0.413
Li 0.732 0.750 0.413
Mn 0.377 0.500 0.088
Mn 0.643 0.000 0.703
Fe 0.025 0.000 0.356
Fe 0.025 0.500 0.355
Fe 0.376 0.000 0.081
Fe 0.651 0.500 0.708
B 0.016 0.500 0.712
B 0.019 0.000 0.717
B 0.349 0.250 0.381
B 0.349 0.750 0.381
B 0.685 0.250 0.050
B 0.685 0.750 0.050
O 0.209 0.500 0.795
O 0.213 0.000 0.800
O 0.235 0.250 0.461
O 0.235 0.750 0.461
O 0.269 0.247 0.188
O 0.269 0.753 0.188
O 0.543 0.253 0.494
O 0.543 0.747 0.494
O 0.577 0.246 0.136
O 0.577 0.754 0.136
O 0.598 0.254 0.856
O 0.598 0.746 0.856
O 0.879 0.250 0.158
O 0.879 0.750 0.158
O 0.905 0.500 0.518
O 0.909 0.000 0.523
O 0.932 0.500 0.823
O 0.936 0.000 0.828

## Properties
Space-group type: No. 6

(2)
VASP calculation (PBE+U) on a relaxed structure of Li3MnFe2B3O9.

Unit cell a=8.831 b=8.831 c=8.255 alpha=117.74 beta=117.74 gamma=41.82
Positions (direct):
Li 0.115 0.616 0.317
Li 0.248 0.752 0.000
Li 0.408 0.911 0.586
Li 0.616 0.115 0.317
Li 0.752 0.248 0.000
Li 0.911 0.408 0.586
Mn 0.515 0.515 0.673
Mn 0.688 0.688 0.289
Fe 0.012 0.012 0.670
Fe 0.189 0.189 0.294
Fe 0.325 0.325 0.943
Fe 0.824 0.824 0.941
B 0.009 0.009 0.301
B 0.092 0.592 0.636
B 0.423 0.928 0.968
B 0.507 0.507 0.301
B 0.592 0.092 0.636
B 0.928 0.423 0.968
O 0.023 0.523 0.048
O 0.041 0.535 0.442
O 0.049 0.549 0.744
O 0.106 0.106 0.409
O 0.185 0.693 0.722
O 0.366 0.872 0.774
O 0.382 0.889 0.081
O 0.450 0.450 0.380
O 0.467 0.467 0.106
O 0.523 0.023 0.048
O 0.535 0.041 0.442
O 0.549 0.049 0.744
O 0.604 0.604 0.414
O 0.693 0.185 0.722
O 0.872 0.366 0.774
O 0.889 0.382 0.081
O 0.955 0.955 0.388
O 0.966 0.966 0.107

## Properties
Space-group type: No. 8

Energies relative to the most stable structure, in meV/atom: (1) 60; (2) 0.

(1)
VASP calculation (PBE+U) on a relaxed structure of Li2FeBO4.

Unit cell a=10.258 b=6.180 c=4.823 alpha=90.00 beta=90.00 gamma=90.00
Positions (direct):
Li 0.074 0.235 0.000
Li 0.158 0.997 0.502
Li 0.342 0.497 0.002
Li 0.426 0.735 0.500
Li 0.574 0.265 0.000
Li 0.658 0.503 0.502
Li 0.842 0.003 0.002
Li 0.926 0.765 0.500
Fe 0.162 0.489 0.504
Fe 0.338 0.989 0.004
Fe 0.662 0.011 0.504
Fe 0.838 0.511 0.004
B 0.090 0.744 0.009
B 0.410 0.244 0.509
B 0.590 0.756 0.009
B 0.910 0.256 0.509
O 0.050 0.251 0.417
O 0.097 0.738 0.317
O 0.156 0.543 0.897
O 0.159 0.944 0.909
O 0.341 0.444 0.409
O 0.344 0.043 0.397
O 0.403 0.238 0.817
O 0.450 0.751 0.917
O 0.550 0.249 0.417
O 0.597 0.762 0.317
O 0.656 0.957 0.897
O 0.659 0.556 0.909
O 0.841 0.056 0.409
O 0.844 0.457 0.397
O 0.903 0.262 0.817
O 0.950 0.749 0.917

## Properties
Space-group type: No. 33

(2)
VASP calculation (PBE+U) on a relaxed structure of Li2FeBO4.

Unit cell a=6.288 b=5.593 c=10.005 alpha=90.00 beta=90.13 gamma=90.00
Positions (direct):
Li 0.089 0.104 0.301
Li 0.089 0.396 0.801
Li 0.263 0.148 0.586
Li 0.263 0.352 0.086
Li 0.737 0.648 0.914
Li 0.737 0.852 0.414
Li 0.911 0.604 0.199
Li 0.911 0.896 0.699
Fe 0.259 0.649 0.410
Fe 0.259 0.851 0.910
Fe 0.741 0.149 0.090
Fe 0.741 0.351 0.590
B 0.497 0.749 0.659
B 0.497 0.751 0.159
B 0.503 0.249 0.841
B 0.503 0.251 0.341
O 0.014 0.723 0.848
O 0.014 0.777 0.348
O 0.307 0.200 0.905
O 0.307 0.300 0.405
O 0.316 0.709 0.083
O 0.316 0.791 0.583
O 0.497 0.740 0.297
O 0.497 0.760 0.797
O 0.503 0.240 0.203
O 0.503 0.260 0.703
O 0.684 0.209 0.417
O 0.684 0.291 0.917
O 0.693 0.700 0.595
O 0.693 0.800 0.095
O 0.986 0.223 0.652
O 0.986 0.277 0.152

## Properties
Space-group type: No. 14

Energies relative to the most stable structure, in meV/atom: (1) 0; (2) 42.